[1]
{"formula": "BaCaMn4O8", "functional": "PBE+U", "state": "optimized geometry", "lattice_angstrom": [[-0.1510, 1.2395, -5.4509], [-4.4357, 1.0667, 3.2339], [2.7904, 7.0072, 1.5162]], "species": ["Mn", "Mn", "Mn", "Mn", "O", "O", "O", "O", "O", "O", "O", "O", "Ba", "Ca"], "fractional_positions": [[0.3333, 0.6667, 0.2441], [0.6667, 0.3333, 0.7559], [0.3333, 0.6667, 0.7559], [0.6667, 0.3333, 0.2441], [0.0000, 0.3248, 0.2994], [0.3248, 0.0000, 0.2994], [0.3333, 0.6667, 0.0000], [0.6752, 0.0000, 0.7006], [0.6667, 0.3333, 0.0000], [0.0000, 0.6752, 0.7006], [0.3248, 0.3248, 0.7006], [0.6752, 0.6752, 0.2994], [0.0000, 0.0000, 0.0000], [0.0000, 0.0000, 0.5000]], "e_form_ev_per_atom": -2.21, "magmom_total_mub_per_atom": 1.143}

---

[2]
{"formula": "Na4Ni3O7", "functional": "PBE+U", "state": "optimized geometry", "lattice_angstrom": [[5.7646, -3.9820, 0.0000], [5.7646, 3.9820, 0.0000], [3.0140, 0.0000, 6.3248]], "species": ["O", "O", "O", "O", "O", "O", "O", "O", "O", "O", "O", "O", "O", "O", "Na", "Na", "Na", "Na", "Na", "Na", "Na", "Na", "Ni", "Ni", "Ni", "Ni", "Ni", "Ni"], "fractional_positions": [[0.7715, 0.7715, 0.7715], [0.3362, 0.9183, 0.0461], [0.1612, 0.6453, 0.4926], [0.0817, 0.9539, 0.6638], [0.9183, 0.0461, 0.3362], [0.9539, 0.6638, 0.0817], [0.8388, 0.3547, 0.5074], [0.2285, 0.2285, 0.2285], [0.0461, 0.3362, 0.9183], [0.6638, 0.0817, 0.9539], [0.5074, 0.8388, 0.3547], [0.4926, 0.1612, 0.6453], [0.6453, 0.4926, 0.1612], [0.3547, 0.5074, 0.8388], [0.8436, 0.7167, 0.4242], [0.5758, 0.1564, 0.2833], [0.1564, 0.2833, 0.5758], [0.0000, 0.0000, 0.0000], [0.5000, 0.5000, 0.5000], [0.4242, 0.8436, 0.7167], [0.7167, 0.4242, 0.8436], [0.2833, 0.5758, 0.1564], [0.0683, 0.6437, 0.7903], [0.3563, 0.2097, 0.9317], [0.2097, 0.9317, 0.3563], [0.9317, 0.3563, 0.2097], [0.7903, 0.0683, 0.6437], [0.6437, 0.7903, 0.0683]], "e_form_ev_per_atom": -1.30, "magmom_total_mub_per_atom": 0.143}

---

[3]
{"formula": "ZnCrSiO5", "functional": "PBE+U", "state": "optimized geometry", "lattice_angstrom": [[-2.7076, 0.1394, 4.6274], [3.4377, -4.0255, 1.1742], [3.7795, 5.9650, -0.4070]], "species": ["Zn", "Zn", "O", "O", "O", "O", "O", "O", "O", "O", "O", "O", "Cr", "Cr", "Si", "Si"], "fractional_positions": [[0.2922, 0.1483, 0.7708], [0.7345, 0.8560, 0.2774], [0.7021, 0.1778, 0.8775], [0.1454, 0.1820, 0.4070], [0.3136, 0.8094, 0.1563], [0.2557, 0.2646, 0.0754], [0.8435, 0.8022, 0.6076], [0.9242, 0.5687, 0.2631], [0.0870, 0.4203, 0.7643], [0.3424, 0.7682, 0.6381], [0.7564, 0.7176, 0.9480], [0.6590, 0.2289, 0.3999], [0.0000, 0.4959, 0.5104], [0.0075, 0.4937, 0.0105], [0.3301, 0.1337, 0.2586], [0.6743, 0.8514, 0.7680]], "e_form_ev_per_atom": -2.37, "polymorph_energy_mev_per_atom": 4, "magmom_total_mub_per_atom": 0.250}

---

[4]
{"formula": "Li6V3P8O29", "functional": "PBE+U", "state": "optimized geometry", "lattice_angstrom": [[9.8295, 0.0000, 0.0000], [-4.9132, 8.5275, 0.0000], [-0.0369, -0.0211, 13.9228]], "species": ["Li", "Li", "Li", "Li", "Li", "Li", "Li", "Li", "Li", "Li", "Li", "Li", "O", "O", "O", "O", "O", "O", "O", "O", "O", "O", "O", "O", "O", "O", "O", "O", "O", "O", "O", "O", "O", "O", "O", "O", "O", "O", "O", "O", "O", "O", "O", "O", "O", "O", "O", "O", "O", "O", "O", "O", "O", "O", "O", "O", "O", "O", "O", "O", "O", "O", "O", "O", "O", "O", "O", "O", "O", "O", "V", "V", "V", "V", "V", "V", "P", "P", "P", "P", "P", "P", "P", "P", "P", "P", "P", "P", "P", "P", "P", "P"], "fractional_positions": [[0.9103, 0.6817, 0.5595], [0.3223, 0.2245, 0.5585], [0.0942, 0.3214, 0.4402], [0.3247, 0.0963, 0.0612], [0.9046, 0.2263, 0.0594], [0.7735, 0.6781, 0.0601], [0.6806, 0.9072, 0.9371], [0.7714, 0.0951, 0.5604], [0.2258, 0.3189, 0.9370], [0.6803, 0.7719, 0.4398], [0.0944, 0.7757, 0.9374], [0.3337, 0.6672, 0.1177], [0.7462, 0.0832, 0.8387], [0.5125, 0.3258, 0.6675], [0.6214, 0.0999, 0.3227], [0.0790, 0.3319, 0.1561], [0.9984, 0.2386, 0.9318], [0.6690, 0.4865, 0.1676], [0.1114, 0.6256, 0.1736], [0.3330, 0.6657, 0.9835], [0.9012, 0.3807, 0.8246], [0.7583, 0.0021, 0.0681], [0.5197, 0.6181, 0.6773], [0.0986, 0.4797, 0.6765], [0.1878, 0.6753, 0.8361], [0.2393, 0.0076, 0.5725], [0.3721, 0.4847, 0.1736], [0.3400, 0.0868, 0.3383], [0.2099, 0.2112, 0.2490], [0.2524, 0.3363, 0.6587], [0.9173, 0.2501, 0.3423], [0.1824, 0.5121, 0.3308], [0.4874, 0.8123, 0.8364], [0.7568, 0.7554, 0.5686], [0.6669, 0.3338, 0.5199], [0.8180, 0.3341, 0.1690], [0.2546, 0.9190, 0.1589], [0.6642, 0.7471, 0.1563], [0.2446, 0.2421, 0.0676], [0.4795, 0.1000, 0.8256], [0.3819, 0.9043, 0.6766], [0.3247, 0.5119, 0.8361], [0.9986, 0.2417, 0.5682], [0.2416, 0.0031, 0.9343], [0.6748, 0.1866, 0.6668], [0.4788, 0.3818, 0.3257], [0.9011, 0.5218, 0.3256], [0.2403, 0.2425, 0.4308], [0.0018, 0.7896, 0.2504], [0.6202, 0.5206, 0.8256], [0.9175, 0.6640, 0.8403], [0.3280, 0.8078, 0.3271], [0.0852, 0.7472, 0.6595], [0.9997, 0.7573, 0.0688], [0.7485, 0.6674, 0.3385], [0.7894, 0.7895, 0.7505], [0.5146, 0.8920, 0.1731], [0.9960, 0.7577, 0.4350], [0.6715, 0.3366, 0.0201], [0.0003, 0.2106, 0.7501], [0.7615, 0.7605, 0.9323], [0.2071, 0.9942, 0.7543], [0.7558, 0.9967, 0.4322], [0.3358, 0.2529, 0.8394], [0.6639, 0.9157, 0.6585], [0.7871, 0.9982, 0.2498], [0.4839, 0.6660, 0.3300], [0.8135, 0.4884, 0.6678], [0.5156, 0.1867, 0.1671], [0.3361, 0.6608, 0.4792], [0.5660, 0.0002, 0.7479], [0.0006, 0.5688, 0.7491], [0.4324, 0.4313, 0.7492], [0.4297, 0.0003, 0.2553], [0.5660, 0.5655, 0.2503], [0.9978, 0.4345, 0.2511], [0.6656, 0.3332, 0.1273], [0.3339, 0.6665, 0.8746], [0.6672, 0.3340, 0.6272], [0.0878, 0.3202, 0.6584], [0.3198, 0.2320, 0.3415], [0.2283, 0.3183, 0.1572], [0.6794, 0.7672, 0.6586], [0.7687, 0.0875, 0.3425], [0.7676, 0.6789, 0.8421], [0.6790, 0.9108, 0.1576], [0.0895, 0.7704, 0.1596], [0.3323, 0.6655, 0.3724], [0.2305, 0.9145, 0.6580], [0.9126, 0.6822, 0.3444], [0.9111, 0.2325, 0.8413], [0.3207, 0.0877, 0.8429]], "e_form_ev_per_atom": -2.66, "polymorph_energy_mev_per_atom": 1, "magmom_total_mub_per_atom": 0.065}

---

[5]
{"formula": "Na4Mn2C4SO16", "functional": "PBE+U", "state": "optimized geometry", "lattice_angstrom": [[0.0000, 7.1078, 7.1485], [6.8061, 0.0000, 7.1485], [6.8061, 7.1078, 0.0000]], "species": ["O", "O", "O", "O", "O", "O", "O", "O", "O", "O", "O", "O", "O", "O", "O", "O", "O", "O", "O", "O", "O", "O", "O", "O", "O", "O", "O", "O", "O", "O", "O", "O", "C", "C", "C", "C", "C", "C", "C", "C", "Na", "Na", "Na", "Na", "Na", "Na", "Na", "Na", "Mn", "Mn", "Mn", "Mn", "S", "S"], "fractional_positions": [[0.2368, 0.4843, 0.9764], [0.0391, 0.2588, 0.9396], [0.9475, 0.2736, 0.7657], [0.9396, 0.7624, 0.0391], [0.2807, 0.7765, 0.9196], [0.2109, 0.9912, 0.3104], [0.7624, 0.9396, 0.2588], [0.9196, 0.0233, 0.2807], [0.4735, 0.9693, 0.2267], [0.4876, 0.3104, 0.9912], [0.9764, 0.3025, 0.2368], [0.6841, 0.6936, 0.9346], [0.5659, 0.5564, 0.3154], [0.6936, 0.6841, 0.6877], [0.5564, 0.5659, 0.5623], [0.6877, 0.9346, 0.6936], [0.3154, 0.5623, 0.5659], [0.7765, 0.2807, 0.0233], [0.9693, 0.4735, 0.3304], [0.5623, 0.3154, 0.5564], [0.9912, 0.2109, 0.4876], [0.7657, 0.0132, 0.9475], [0.9346, 0.6877, 0.6841], [0.0132, 0.7657, 0.2736], [0.0233, 0.9196, 0.7765], [0.2267, 0.3304, 0.4735], [0.3025, 0.9764, 0.4843], [0.4843, 0.2368, 0.3025], [0.2588, 0.0391, 0.7624], [0.3104, 0.4876, 0.2109], [0.2736, 0.9475, 0.0132], [0.3304, 0.2267, 0.9693], [0.3301, 0.9811, 0.3370], [0.9199, 0.2689, 0.9130], [0.9130, 0.8982, 0.9199], [0.3518, 0.3370, 0.9811], [0.8982, 0.9130, 0.2689], [0.3370, 0.3518, 0.3301], [0.9811, 0.3301, 0.3518], [0.2689, 0.9199, 0.8982], [0.9541, 0.9541, 0.5459], [0.2959, 0.2959, 0.7041], [0.7041, 0.7041, 0.2959], [0.9598, 0.5402, 0.5402], [0.5459, 0.5459, 0.9541], [0.7098, 0.2902, 0.2902], [0.5402, 0.9598, 0.9598], [0.2902, 0.7098, 0.7098], [0.1250, 0.6250, 0.1250], [0.1250, 0.1250, 0.6250], [0.1250, 0.1250, 0.1250], [0.6250, 0.1250, 0.1250], [0.7500, 0.7500, 0.7500], [0.5000, 0.5000, 0.5000]], "e_form_ev_per_atom": -1.98, "polymorph_energy_mev_per_atom": 0, "magmom_total_mub_per_atom": 0.296}

---

[6]
{"formula": "Li7Si2Ni3O12", "functional": "PBE+U", "state": "optimized geometry", "lattice_angstrom": [[-4.2225, -2.4378, 0.0059], [-0.0121, 4.8966, -0.0028], [1.4172, 0.8179, -9.5674]], "species": ["Li", "Li", "Li", "Li", "Li", "Li", "Li", "Si", "Si", "O", "O", "O", "O", "O", "O", "O", "O", "O", "O", "O", "O", "Ni", "Ni", "Ni"], "fractional_positions": [[0.1789, 0.3420, 0.5029], [0.8204, 0.6578, 0.5033], [0.9885, 0.9949, 0.9967], [0.5833, 0.6664, 0.7500], [0.3375, 0.6578, 0.9967], [0.5065, 0.9949, 0.5033], [0.6632, 0.3420, 0.9971], [0.9163, 0.3325, 0.7500], [0.2499, 0.9996, 0.7500], [0.1228, 0.0254, 0.3598], [0.4025, 0.0255, 0.1402], [0.1760, 0.6668, 0.6450], [0.6889, 0.6510, 0.1334], [0.9194, 0.0379, 0.6449], [0.5479, 0.2936, 0.6465], [0.7625, 0.3269, 0.3667], [0.2458, 0.2936, 0.8535], [0.6186, 0.0380, 0.8550], [0.4621, 0.6510, 0.3666], [0.9908, 0.6667, 0.8550], [0.0641, 0.3268, 0.1333], [0.7530, 0.0063, 0.2500], [0.0825, 0.6650, 0.2500], [0.4187, 0.3375, 0.2500]], "e_form_ev_per_atom": -2.13, "polymorph_energy_mev_per_atom": 0, "magmom_total_mub_per_atom": 0.124}

---

[7]
{"formula": "FeC3SO3", "functional": "PBE+U", "state": "optimized geometry", "lattice_angstrom": [[-1.9424, 5.2129, -3.8162], [-3.3142, -3.6627, -6.1819], [-11.0492, 1.7931, 3.1549]], "species": ["S", "S", "S", "S", "C", "C", "C", "C", "C", "C", "C", "C", "C", "C", "C", "C", "Fe", "Fe", "Fe", "Fe", "O", "O", "O", "O", "O", "O", "O", "O", "O", "O", "O", "O"], "fractional_positions": [[0.2623, 0.6913, 0.4179], [0.0336, 0.6226, 0.3563], [0.7377, 0.3087, 0.5821], [0.9664, 0.3774, 0.6437], [0.6289, 0.5057, 0.2238], [0.3711, 0.4943, 0.7762], [0.3890, 0.2906, 0.3709], [0.6677, 0.5950, 0.8499], [0.1564, 0.7952, 0.0969], [0.4509, 0.8927, 0.1780], [0.0426, 0.0152, 0.2742], [0.6110, 0.7094, 0.6291], [0.9574, 0.9848, 0.7258], [0.5491, 0.1073, 0.8220], [0.8436, 0.2048, 0.9031], [0.3323, 0.4050, 0.1501], [0.7873, 0.1862, 0.7616], [0.3608, 0.4900, 0.2810], [0.2127, 0.8138, 0.2384], [0.6392, 0.5100, 0.7190], [0.6838, 0.6532, 0.9334], [0.0684, 0.8538, 0.7055], [0.5888, 0.8410, 0.5743], [0.3969, 0.0535, 0.8596], [0.1202, 0.7832, 0.0062], [0.9316, 0.1462, 0.2945], [0.4112, 0.1590, 0.4257], [0.8011, 0.5170, 0.1867], [0.3162, 0.3468, 0.0666], [0.6031, 0.9465, 0.1404], [0.1989, 0.4830, 0.8133], [0.8798, 0.2168, 0.9938]], "e_form_ev_per_atom": -0.57, "magmom_total_mub_per_atom": 0.000}

---

[8]
{"formula": "Ba2NbCrO6", "functional": "PBE+U", "state": "optimized geometry", "lattice_angstrom": [[-0.4245, 2.1341, 5.4120], [-0.0087, -5.7678, -0.8697], [19.1214, -0.2711, 1.6067]], "species": ["O", "O", "O", "O", "O", "O", "O", "O", "O", "O", "O", "O", "O", "O", "O", "O", "O", "O", "O", "O", "O", "O", "O", "O", "Ba", "Ba", "Ba", "Ba", "Ba", "Ba", "Ba", "Ba", "Nb", "Nb", "Nb", "Nb", "Cr", "Cr", "Cr", "Cr"], "fractional_positions": [[0.8303, 0.6607, 0.3793], [0.5000, 0.5000, 0.5000], [0.1697, 0.3393, 0.6207], [0.6995, 0.8497, 0.2500], [0.6607, 0.8303, 0.8793], [0.5000, 0.0000, 0.5000], [0.5000, 0.5000, 0.0000], [0.0000, 0.5000, 0.5000], [0.3393, 0.1697, 0.1207], [0.8303, 0.1697, 0.3793], [0.5000, 0.0000, 0.0000], [0.0000, 0.5000, 0.0000], [0.8497, 0.1503, 0.7500], [0.8303, 0.6607, 0.1207], [0.1697, 0.3393, 0.8793], [0.1697, 0.8303, 0.6207], [0.8303, 0.1697, 0.1207], [0.3393, 0.1697, 0.3793], [0.8497, 0.6995, 0.7500], [0.1503, 0.8497, 0.2500], [0.6607, 0.8303, 0.6207], [0.1503, 0.3005, 0.2500], [0.1697, 0.8303, 0.8793], [0.3005, 0.1503, 0.7500], [0.3333, 0.6667, 0.1418], [0.0000, 0.0000, 0.0000], [0.3333, 0.6667, 0.3582], [0.6667, 0.3333, 0.2500], [0.0000, 0.0000, 0.5000], [0.6667, 0.3333, 0.8582], [0.6667, 0.3333, 0.6418], [0.3333, 0.6667, 0.7500], [0.3333, 0.6667, 0.5640], [0.6667, 0.3333, 0.0640], [0.3333, 0.6667, 0.9360], [0.6667, 0.3333, 0.4360], [0.0000, 0.0000, 0.6817], [0.0000, 0.0000, 0.1817], [0.0000, 0.0000, 0.8183], [0.0000, 0.0000, 0.3183]], "e_form_ev_per_atom": -3.06}

---

[9]
{"formula": "NiMo4O15", "functional": "PBE+U", "state": "optimized geometry", "lattice_angstrom": [[5.6466, 0.0000, 0.0000], [0.0993, 7.0285, 0.0000], [1.7719, 0.0352, 7.4467]], "species": ["O", "O", "O", "O", "O", "O", "O", "O", "O", "O", "O", "O", "O", "O", "O", "Mo", "Mo", "Mo", "Mo", "Ni"], "fractional_positions": [[0.0453, 0.8292, 0.7818], [0.1560, 0.5033, 0.3529], [0.8654, 0.8160, 0.5092], [0.2177, 0.8216, 0.1047], [0.2978, 0.1630, 0.8902], [0.6437, 0.2068, 0.5687], [0.3563, 0.7932, 0.4313], [0.1346, 0.1840, 0.4908], [0.3320, 0.5000, 0.6955], [0.5000, 0.5000, 0.0000], [0.8440, 0.4967, 0.6471], [0.6680, 0.5000, 0.3045], [0.7022, 0.8370, 0.1098], [0.7823, 0.1784, 0.8953], [0.9547, 0.1708, 0.2182], [0.4464, 0.6942, 0.1803], [0.5536, 0.3058, 0.8197], [0.1336, 0.6569, 0.6088], [0.8664, 0.3431, 0.3912], [0.0000, 0.0000, 0.0000]], "e_form_ev_per_atom": -1.51, "magmom_total_mub_per_atom": 0.300}

---

[10]
{"formula": "SmEuNbVO6", "functional": "PBE+U", "state": "optimized geometry", "lattice_angstrom": [[0.0000, -4.0248, -4.0248], [4.0248, 0.0000, -4.0248], [4.0248, -4.0248, 0.0000]], "species": ["Eu", "O", "O", "O", "O", "O", "O", "V", "Nb", "Sm"], "fractional_positions": [[0.7500, 0.7500, 0.7500], [0.7520, 0.2480, 0.2480], [0.7520, 0.7520, 0.2480], [0.2480, 0.7520, 0.7520], [0.2480, 0.7520, 0.2480], [0.7520, 0.2480, 0.7520], [0.2480, 0.2480, 0.7520], [0.5000, 0.5000, 0.5000], [0.0000, 0.0000, 0.0000], [0.2500, 0.2500, 0.2500]], "e_form_ev_per_atom": -3.04, "magmom_total_mub_per_atom": 0.400}

---

[11]
{"formula": "Li3VF7", "functional": "PBE+U", "state": "optimized geometry", "lattice_angstrom": [[4.9313, -3.0672, 0.0000], [4.9313, 3.0672, 0.0000], [3.0236, 0.0000, 4.9581]], "species": ["Li", "Li", "Li", "F", "F", "F", "F", "F", "F", "F", "V"], "fractional_positions": [[0.3765, 0.3765, 0.8903], [0.3765, 0.8903, 0.3765], [0.8903, 0.3765, 0.3765], [0.7701, 0.7701, 0.2226], [0.7811, 0.2201, 0.2201], [0.7701, 0.2226, 0.7701], [0.2201, 0.2201, 0.7811], [0.2201, 0.7811, 0.2201], [0.2226, 0.7701, 0.7701], [0.2473, 0.2473, 0.2473], [0.0017, 0.0017, 0.0017]], "e_form_ev_per_atom": -3.10, "piezo_max_c_m2": 0.37, "magmom_total_mub_per_atom": 0.091}